Entry from the Materials Project: crystalline MgMnO3 at its relaxed geometry (meta-GGA r2SCAN).

Cell: 5.3812 5.3812 5.3812 Å, 54.58 54.58 54.58°
Sites, in units of the cell vectors:
Mg 0.1407 0.1407 0.1407
Mg 0.8593 0.8593 0.8593
Mn 0.3421 0.3421 0.3421
Mn 0.6579 0.6579 0.6579
O 0.0603 0.7200 0.4532
O 0.2800 0.5468 0.9397
O 0.4532 0.0603 0.7200
O 0.5468 0.9397 0.2800
O 0.7200 0.4532 0.0603
O 0.9397 0.2800 0.5468

M_tot = 0.600 μB/atom
DFT total energy = -9.8429 eV per atom
formation energy = -2.489 eV/atom
symmetry = R-3

=====

Entry from the Materials Project: crystalline MgMn2O3 at its relaxed geometry (meta-GGA r2SCAN).

Cell: 3.0825 5.2606 7.6084 Å, 89.58 90.00 90.00°
Sites, in units of the cell vectors:
Mg 0.0000 0.0000 0.0000
Mg 0.5000 0.5000 0.0000
Mn 0.0000 0.6611 0.3290
Mn 0.5000 0.8390 0.6710
Mn 0.5000 0.1611 0.3290
Mn 0.0000 0.3390 0.6710
O 0.0000 0.0000 0.5000
O 0.5000 0.5000 0.5000
O 0.5000 0.1692 0.8454
O 0.0000 0.6692 0.8454
O 0.0000 0.3308 0.1546
O 0.5000 0.8308 0.1546

M_tot = 0.000 μB/atom
DFT total energy = -10.8761 eV per atom
formation energy = -2.301 eV/atom

=====

Entry from the Materials Project: crystalline Mg6MnO8 at its relaxed geometry (meta-GGA r2SCAN).

Cell: 8.3581 8.3581 10.2339 Å, 114.09 65.91 89.99°
Sites, in units of the cell vectors:
Mg 0.3750 0.3750 0.2500
Mg 0.6250 0.6250 0.7500
Mg 0.8750 0.8750 0.2500
Mg 0.1250 0.1250 0.7500
Mg 0.5000 0.5000 0.5000
Mg 0.7500 0.7500 0.0000
Mg 0.0000 0.0000 0.5000
Mg 0.2500 0.2500 0.0000
Mg 0.7500 0.2500 0.0000
Mg 0.0000 0.5000 0.5000
Mg 0.2500 0.7500 0.0000
Mg 0.5000 0.0000 0.5000
Mg 0.8750 0.3750 0.2500
Mg 0.1250 0.6250 0.7500
Mg 0.3750 0.8750 0.2500
Mg 0.6250 0.1250 0.7500
Mg 0.6250 0.1250 0.2500
Mg 0.8750 0.3750 0.7500
Mg 0.1250 0.6250 0.2500
Mg 0.3750 0.8750 0.7500
Mg 0.6250 0.6250 0.2500
Mg 0.8750 0.8750 0.7500
Mg 0.1250 0.1250 0.2500
Mg 0.3750 0.3750 0.7500
Mn 0.5000 0.5000 0.0000
Mn 0.7500 0.7500 0.5000
Mn 0.0000 0.0000 0.0000
Mn 0.2500 0.2500 0.5000
O 0.8750 0.1250 0.7500
O 0.1250 0.3750 0.2500
O 0.3750 0.6250 0.7500
O 0.6250 0.8750 0.2500
O 0.6250 0.3750 0.2500
O 0.8750 0.6250 0.7500
O 0.1250 0.8750 0.2500
O 0.3750 0.1250 0.7500
O 0.0213 0.2500 0.5000
O 0.2713 0.5000 0.0000
O 0.5213 0.7500 0.5000
O 0.7713 0.0000 0.0000
O 0.8857 0.1143 0.2286
O 0.1357 0.3643 0.7286
O 0.3857 0.6143 0.2286
O 0.6357 0.8643 0.7286
O 0.6143 0.3857 0.7714
O 0.8643 0.6357 0.2714
O 0.1143 0.8857 0.7714
O 0.3643 0.1357 0.2714
O 0.7500 0.5213 0.5000
O 0.0000 0.7713 0.0000
O 0.2500 0.0213 0.5000
O 0.5000 0.2713 0.0000
O 0.7500 0.9787 0.5000
O 0.0000 0.2287 0.0000
O 0.2500 0.4787 0.5000
O 0.5000 0.7287 0.0000
O 0.4787 0.2500 0.5000
O 0.7287 0.5000 0.0000
O 0.9787 0.7500 0.5000
O 0.2287 0.0000 0.0000

M_tot = 0.000 μB/atom
DFT total energy = -8.6802 eV per atom
formation energy = -2.848 eV/atom

=====

Entry from the Materials Project: crystalline Mg2MnP2O8 at its relaxed geometry (meta-GGA r2SCAN).

Cell: 8.9500 9.8120 9.4681 Å, 72.24 112.95 74.46°
Sites, in units of the cell vectors:
Mg 0.5305 0.6408 0.4231
Mg 0.0305 0.6408 0.9231
Mg 0.4210 0.8591 0.8138
Mg 0.9210 0.8591 0.3138
Mg 0.9695 0.3592 0.0769
Mg 0.4695 0.3592 0.5769
Mg 0.0790 0.1409 0.6862
Mg 0.5790 0.1409 0.1862
Mn 0.0000 0.5000 0.5000
Mn 0.2500 0.0000 0.2500
Mn 0.5000 0.5000 0.0000
Mn 0.7500 0.0000 0.7500
P 0.7683 0.6983 0.0660
P 0.2683 0.6983 0.5660
P 0.2168 0.8017 0.0145
P 0.7168 0.8017 0.5145
P 0.7317 0.3017 0.4340
P 0.2317 0.3017 0.9340
P 0.2832 0.1983 0.4855
P 0.7832 0.1983 0.9855
O 0.6159 0.6517 0.0594
O 0.1159 0.6517 0.5594
O 0.5179 0.8481 0.4614
O 0.0179 0.8481 0.9614
O 0.8841 0.3483 0.4406
O 0.3841 0.3483 0.9406
O 0.9821 0.1519 0.0386
O 0.4821 0.1519 0.5387
O 0.8691 0.7064 0.2329
O 0.3691 0.7064 0.7329
O 0.3257 0.7936 0.1895
O 0.8257 0.7936 0.6895
O 0.6309 0.2936 0.2671
O 0.1309 0.2936 0.7671
O 0.1743 0.2064 0.3105
O 0.6743 0.2064 0.8105
O 0.6662 0.8628 0.9041
O 0.1662 0.8628 0.4041
O 0.7794 0.6372 0.5172
O 0.2794 0.6372 0.0172
O 0.8338 0.1372 0.5959
O 0.3338 0.1372 0.0959
O 0.7206 0.3628 0.9828
O 0.2206 0.3628 0.4828
O 0.9051 0.5789 0.0503
O 0.4051 0.5789 0.5503
O 0.2342 0.9211 0.8794
O 0.7342 0.9211 0.3794
O 0.5949 0.4211 0.4497
O 0.0949 0.4211 0.9497
O 0.2658 0.0789 0.6206
O 0.7658 0.0789 0.1206

M_tot = 0.385 μB/atom
DFT total energy = -9.5414 eV per atom
formation energy = -2.710 eV/atom

=====

Entry from the Materials Project: crystalline Mg3MnTe4 at its relaxed geometry (meta-GGA r2SCAN).

Cell: 4.5679 4.5679 12.8043 Å, 90.00 90.00 90.00°
Sites, in units of the cell vectors:
Mg 0.0000 0.0000 0.0000
Mg 0.5000 0.5000 0.2540
Mg 0.5000 0.5000 0.7460
Mn 0.0000 0.0000 0.5000
Te 0.0000 0.5000 0.1273
Te 0.0000 0.5000 0.6199
Te 0.5000 0.0000 0.3801
Te 0.5000 0.0000 0.8727

M_tot = 0.625 μB/atom
DFT total energy = -17.0553 eV per atom
formation energy = -0.948 eV/atom
symmetry = P-4m2

=====

Entry from the Materials Project: crystalline MgMn3Te4 at its relaxed geometry (meta-GGA r2SCAN).

Cell: 4.5326 4.5326 12.7508 Å, 90.00 90.00 90.00°
Sites, in units of the cell vectors:
Mg 0.0000 0.0000 0.0000
Mn 0.0000 0.0000 0.5000
Mn 0.5000 0.5000 0.2524
Mn 0.5000 0.5000 0.7476
Te 0.0000 0.5000 0.1290
Te 0.0000 0.5000 0.6241
Te 0.5000 0.0000 0.3759
Te 0.5000 0.0000 0.8710

M_tot = 1.875 μB/atom
DFT total energy = -19.4623 eV per atom
formation energy = -0.726 eV/atom
symmetry = P-4m2

=====

Entry from the Materials Project: crystalline Mg3MoN4 at its relaxed geometry (meta-GGA r2SCAN).

Cell: 6.7268 5.8148 5.2351 Å, 90.00 90.00 90.00°
Sites, in units of the cell vectors:
Mg 0.0000 0.1612 0.0000
Mg 0.2478 0.3312 0.4982
Mg 0.2522 0.6688 0.9982
Mg 0.5000 0.8388 0.5000
Mg 0.7478 0.6688 0.9982
Mg 0.7522 0.3312 0.4982
Mo 0.0000 0.8293 0.4906
Mo 0.5000 0.1707 0.9906
N 0.0000 0.1349 0.5972
N 0.0000 0.8265 0.1387
N 0.2305 0.6774 0.5978
N 0.2695 0.3226 0.0978
N 0.5000 0.1735 0.6387
N 0.5000 0.8651 0.0972
N 0.7305 0.3226 0.0978
N 0.7695 0.6774 0.5978

M_tot = 0.000 μB/atom
DFT total energy = -10.4201 eV per atom
formation energy = -1.033 eV/atom
symmetry = Pmn2_1

=====

Entry from the Materials Project: crystalline Mg2Mo3O8 at its relaxed geometry (meta-GGA r2SCAN).

Cell: 5.7550 5.7550 10.3417 Å, 90.00 90.00 120.00°
Sites, in units of the cell vectors:
Mg 0.3333 0.6667 0.0000
Mg 0.3333 0.6667 0.3952
Mg 0.6667 0.3333 0.5000
Mg 0.6667 0.3333 0.8952
Mo 0.1825 0.3650 0.6801
Mo 0.1825 0.8175 0.6801
Mo 0.3650 0.1825 0.1801
Mo 0.6350 0.8175 0.6801
Mo 0.8175 0.1825 0.1801
Mo 0.8175 0.6350 0.1801
O 0.0000 0.0000 0.0835
O 0.0000 0.0000 0.5835
O 0.0329 0.5164 0.5493
O 0.1689 0.3378 0.2731
O 0.1689 0.8311 0.2731
O 0.3333 0.6667 0.8175
O 0.3378 0.1689 0.7731
O 0.4836 0.5164 0.5493
O 0.4836 0.9671 0.5493
O 0.5164 0.0329 0.0493
O 0.5164 0.4836 0.0493
O 0.6622 0.8311 0.2731
O 0.6667 0.3333 0.3175
O 0.8311 0.1689 0.7731
O 0.8311 0.6622 0.7731
O 0.9671 0.4836 0.0493

M_tot = 0.000 μB/atom
DFT total energy = -12.7220 eV per atom
formation energy = -2.389 eV/atom
symmetry = P6_3mc

=====

Entry from the Materials Project: crystalline MgMoO4 at its relaxed geometry (meta-GGA r2SCAN).

Cell: 6.9170 6.9170 7.0398 Å, 102.69 102.69 84.04°
Sites, in units of the cell vectors:
Mg 0.1778 0.8222 0.0000
Mg 0.2010 0.2010 0.3581
Mg 0.7990 0.7990 0.6419
Mg 0.8222 0.1778 0.0000
Mo 0.2497 0.7503 0.5000
Mo 0.2702 0.2702 0.9054
Mo 0.7298 0.7298 0.0946
Mo 0.7503 0.2497 0.5000
O 0.1109 0.8054 0.6962
O 0.1407 0.1407 0.0393
O 0.1946 0.8891 0.3038
O 0.2001 0.2001 0.6457
O 0.2101 0.5219 0.9726
O 0.2138 0.5027 0.3912
O 0.4781 0.7899 0.0274
O 0.4973 0.7862 0.6088
O 0.5027 0.2138 0.3912
O 0.5219 0.2101 0.9726
O 0.7862 0.4973 0.6088
O 0.7899 0.4781 0.0274
O 0.7999 0.7999 0.3543
O 0.8054 0.1109 0.6962
O 0.8593 0.8593 0.9607
O 0.8891 0.1946 0.3038

M_tot = 0.000 μB/atom
DFT total energy = -11.5438 eV per atom
formation energy = -2.522 eV/atom
symmetry = C2/m

=====

Entry from the Materials Project: crystalline Mg3N2 at its relaxed geometry (meta-GGA r2SCAN).

Cell: 8.6011 8.6011 8.6011 Å, 109.47 109.47 109.47°
Sites, in units of the cell vectors:
Mg 0.0064 0.4652 0.7366
Mg 0.0348 0.0412 0.2715
Mg 0.0412 0.2715 0.0348
Mg 0.2285 0.2698 0.7634
Mg 0.2302 0.4588 0.4936
Mg 0.2366 0.7715 0.7302
Mg 0.2634 0.9936 0.5348
Mg 0.2698 0.7634 0.2285
Mg 0.2715 0.0348 0.0412
Mg 0.4588 0.4936 0.2302
Mg 0.4652 0.7366 0.0064
Mg 0.4936 0.2302 0.4588
Mg 0.5064 0.7698 0.5412
Mg 0.5348 0.2634 0.9936
Mg 0.5412 0.5064 0.7698
Mg 0.7285 0.9652 0.9588
Mg 0.7302 0.2366 0.7715
Mg 0.7366 0.0064 0.4652
Mg 0.7634 0.2285 0.2698
Mg 0.7698 0.5412 0.5064
Mg 0.7715 0.7302 0.2366
Mg 0.9588 0.7285 0.9652
Mg 0.9652 0.9588 0.7285
Mg 0.9936 0.5348 0.2634
N 0.0000 0.0000 0.0000
N 0.0000 0.5000 0.5000
N 0.0311 0.7811 0.2500
N 0.2189 0.7500 0.9689
N 0.2500 0.0311 0.7811
N 0.2500 0.5311 0.2811
N 0.2811 0.2500 0.5311
N 0.4689 0.7189 0.7500
N 0.5000 0.0000 0.5000
N 0.5000 0.5000 0.0000
N 0.5311 0.2811 0.2500
N 0.7189 0.7500 0.4689
N 0.7500 0.4689 0.7189
N 0.7500 0.9689 0.2189
N 0.7811 0.2500 0.0311
N 0.9689 0.2189 0.7500

M_tot = 0.000 μB/atom
DFT total energy = -7.0953 eV per atom
formation energy = -0.942 eV/atom
symmetry = Ia-3

=====

Entry from the Materials Project: crystalline MgPbN2 at its relaxed geometry (meta-GGA r2SCAN).

Cell: 6.1010 7.0188 5.6659 Å, 90.00 90.00 90.00°
Sites, in units of the cell vectors:
Mg 0.0833 0.1251 0.0000
Mg 0.4167 0.6251 0.5000
Mg 0.5833 0.3749 0.0000
Mg 0.9167 0.8749 0.5000
Pb 0.0883 0.6246 0.0016
Pb 0.4117 0.1246 0.5016
Pb 0.5883 0.8754 0.0016
Pb 0.9117 0.3754 0.5016
N 0.0755 0.1179 0.3708
N 0.0880 0.6318 0.3903
N 0.4120 0.1318 0.8903
N 0.4245 0.6179 0.8708
N 0.5755 0.3821 0.3708
N 0.5880 0.8682 0.3903
N 0.9120 0.3682 0.8903
N 0.9245 0.8821 0.8708

M_tot = 0.000 μB/atom
DFT total energy = -19.7278 eV per atom
formation energy = -0.050 eV/atom
symmetry = Pna2_1

=====

Entry from the Materials Project: crystalline Mg3Sc2N4 at its relaxed geometry (meta-GGA r2SCAN).

Cell: 6.1602 6.1602 5.6046 Å, 90.34 90.34 89.44°
Sites, in units of the cell vectors:
Mg 0.0200 0.2412 0.6061
Mg 0.2412 0.0200 0.1061
Mg 0.2492 0.7508 0.7500
Mg 0.7508 0.2492 0.2500
Mg 0.7588 0.9800 0.8939
Mg 0.9800 0.7588 0.3939
Sc 0.2419 0.4675 0.1070
Sc 0.4675 0.2419 0.6070
Sc 0.5325 0.7581 0.3930
Sc 0.7581 0.5325 0.8930
N 0.0115 0.7463 0.0085
N 0.2522 0.5043 0.4842
N 0.2537 0.9885 0.4915
N 0.4957 0.7478 0.0158
N 0.5043 0.2522 0.9842
N 0.7463 0.0115 0.5085
N 0.7478 0.4957 0.5158
N 0.9885 0.2537 0.9915

M_tot = 0.000 μB/atom
DFT total energy = -9.1927 eV per atom
formation energy = -1.213 eV/atom
symmetry = C2/c